# meta-GGA r2SCAN Sm3Rh2, relaxed
# Crystal system: trigonal
# Energy relative to the elements, kJ per mole of atoms: -69
# Total magnetic moment, μB/cell: 0.008
data_Sm3Rh2
_chemical_formula_sum 'Sm27 Rh18'
_symmetry_space_group_name_H-M 'R -3'
_symmetry_Int_Tables_number 148
_symmetry_space_group_name_Hall '-R 3'
_cell_length_a 8.7401
_cell_length_b 8.7401
_cell_length_c 16.6405
_cell_angle_alpha 90.00
_cell_angle_beta 90.00
_cell_angle_gamma 120.00
loop_
_atom_site_label
_atom_site_type_symbol
_atom_site_fract_x
_atom_site_fract_y
_atom_site_fract_z
_atom_site_occupancy
Sm1 Sm 0.0000 0.0000 0.0000 1
Sm2 Sm 0.0000 0.0000 0.2025 1
Sm3 Sm 0.0151 0.7540 0.5938 1
Rh1 Rh 0.0198 0.4045 0.5697 1

# meta-GGA r2SCAN Pr5Ru2, relaxed
# Crystal system: monoclinic
# Energy relative to the elements, kJ per mole of atoms: -19
# Total magnetic moment, μB/cell: 0.000
data_Pr5Ru2
_chemical_formula_sum 'Pr20 Ru8'
_symmetry_space_group_name_H-M 'C 1 2/c 1'
_symmetry_Int_Tables_number 15
_cell_length_a 16.650
_cell_length_b 6.688
_cell_length_c 7.357
_cell_angle_alpha 90.00
_cell_angle_beta 96.06
_cell_angle_gamma 90.00
loop_
_symmetry_equiv_pos_as_xyz
'x,y,z'
'-x,-y,-z'
'-x,y,-z+1/2'
'x,-y,z+1/2'
'x+1/2,y+1/2,z'
'-x+1/2,-y+1/2,-z'
'-x+1/2,y+1/2,-z+1/2'
'x+1/2,-y+1/2,z+1/2'
loop_
_atom_site_label
_atom_site_type_symbol
_atom_site_fract_x
_atom_site_fract_y
_atom_site_fract_z
_atom_site_occupancy
Pr1 Pr 0.000 0.074 0.250 1
Pr2 Pr 0.093 0.390 0.908 1
Pr3 Pr 0.215 0.074 0.315 1
Ru1 Ru 0.111 0.217 0.572 1

# meta-GGA r2SCAN BeNi, relaxed
# Crystal system: cubic
# Energy relative to the elements, kJ per mole of atoms: -45
# Total magnetic moment, μB/cell: 0.000
data_BeNi
_chemical_formula_sum 'Be1 Ni1'
_symmetry_space_group_name_H-M 'P m -3 m'
_symmetry_Int_Tables_number 221
_symmetry_space_group_name_Hall '-P 4 2 3'
_cell_length_a 2.587
_cell_length_b 2.587
_cell_length_c 2.587
_cell_angle_alpha 90.00
_cell_angle_beta 90.00
_cell_angle_gamma 90.00
loop_
_atom_site_label
_atom_site_type_symbol
_atom_site_fract_x
_atom_site_fract_y
_atom_site_fract_z
_atom_site_occupancy
Be1 Be 0.000 0.000 0.000 1
Ni1 Ni 0.500 0.500 0.500 1

# meta-GGA r2SCAN CsEuAsS3, relaxed
# Crystal system: monoclinic
# Energy relative to the elements, kJ per mole of atoms: -130
# Total magnetic moment, μB/cell: 28.000
data_CsEuAsS3
_chemical_formula_sum 'Cs4 Eu4 As4 S12'
_symmetry_space_group_name_H-M 'P 1 21/c 1'
_symmetry_Int_Tables_number 14
_cell_length_a 9.514
_cell_length_b 8.435
_cell_length_c 8.899
_cell_angle_alpha 90.00
_cell_angle_beta 103.68
_cell_angle_gamma 90.00
loop_
_symmetry_equiv_pos_as_xyz
'x,y,z'
'-x,-y,-z'
'-x,y+1/2,-z+1/2'
'x,-y+1/2,z+1/2'
loop_
_atom_site_label
_atom_site_type_symbol
_atom_site_fract_x
_atom_site_fract_y
_atom_site_fract_z
_atom_site_occupancy
Cs1 Cs 0.093 0.072 0.227 1
Eu1 Eu 0.441 0.720 0.467 1
As1 As 0.289 0.047 0.656 1
S1 S 0.187 0.687 0.082 1
S2 S 0.267 0.078 0.899 1
S3 S 0.471 0.021 0.285 1

# meta-GGA r2SCAN CeCuGe, relaxed
# Crystal system: hexagonal
# Energy relative to the elements, kJ per mole of atoms: -68
# Total magnetic moment, μB/cell: 2.047
data_CeCuGe
_chemical_formula_sum 'Ce2 Cu2 Ge2'
_symmetry_space_group_name_H-M 'P 63/m m c'
_symmetry_Int_Tables_number 194
_symmetry_space_group_name_Hall '-P 6c 2c'
_cell_length_a 4.2661
_cell_length_b 4.2661
_cell_length_c 8.0556
_cell_angle_alpha 90.00
_cell_angle_beta 90.00
_cell_angle_gamma 120.00
loop_
_atom_site_label
_atom_site_type_symbol
_atom_site_fract_x
_atom_site_fract_y
_atom_site_fract_z
_atom_site_occupancy
Ce1 Ce 0.0000 0.0000 0.0000 1
Cu1 Cu 0.3333 0.6667 0.2500 1
Ge1 Ge 0.3333 0.6667 0.7500 1

# meta-GGA r2SCAN Ba3CoO5, relaxed
# Crystal system: monoclinic
# Energy relative to the elements, kJ per mole of atoms: -220
# Total magnetic moment, μB/cell: 4.000
data_Ba3CoO5
_chemical_formula_sum 'Ba12 Co4 O20'
_symmetry_space_group_name_H-M 'P 1 c 1'
_symmetry_Int_Tables_number 7
_cell_length_a 11.817
_cell_length_b 7.270
_cell_length_c 7.270
_cell_angle_alpha 90.00
_cell_angle_beta 90.22
_cell_angle_gamma 90.00
loop_
_symmetry_equiv_pos_as_xyz
'x,y,z'
'x,-y,z+1/2'
loop_
_atom_site_label
_atom_site_type_symbol
_atom_site_fract_x
_atom_site_fract_y
_atom_site_fract_z
_atom_site_occupancy
Ba1 Ba 0.000 0.072 0.000 1
Ba2 Ba 0.249 0.247 0.320 1
Ba3 Ba 0.499 0.073 0.643 1
Ba4 Ba 0.500 0.428 0.997 1
Ba5 Ba 0.750 0.249 0.324 1
Ba6 Ba 0.999 0.427 0.645 1
Co1 Co 0.250 0.254 0.820 1
Co2 Co 0.750 0.250 0.824 1
O1 O 0.152 0.378 0.953 1
O2 O 0.153 0.117 0.697 1
O3 O 0.345 0.118 0.947 1
O4 O 0.349 0.379 0.691 1
O5 O 0.499 0.251 0.319 1
O6 O 0.650 0.120 0.948 1
O7 O 0.654 0.375 0.687 1
O8 O 0.845 0.123 0.689 1
O9 O 0.849 0.379 0.951 1
O10 O 0.999 0.249 0.323 1

# meta-GGA r2SCAN NdAl3Br12, relaxed
# Crystal system: monoclinic
# Energy relative to the elements, kJ per mole of atoms: -146
# Total magnetic moment, μB/cell: 0.000
data_NdAl3Br12
_chemical_formula_sum 'Nd6 Al18 Br72'
_symmetry_space_group_name_H-M 'C 1 2 1'
_symmetry_Int_Tables_number 5
_cell_length_a 18.334
_cell_length_b 10.583
_cell_length_c 18.561
_cell_angle_alpha 90.00
_cell_angle_beta 90.01
_cell_angle_gamma 90.00
loop_
_symmetry_equiv_pos_as_xyz
'x,y,z'
'-x,y,-z'
'x+1/2,y+1/2,z'
'-x+1/2,y+1/2,-z'
loop_
_atom_site_label
_atom_site_type_symbol
_atom_site_fract_x
_atom_site_fract_y
_atom_site_fract_z
_atom_site_occupancy
Nd1 Nd 0.000 0.000 0.000 1
Nd2 Nd 0.133 0.398 0.333 1
Al1 Al 0.000 0.360 0.500 1
Al2 Al 0.048 0.218 0.167 1
Al3 Al 0.151 0.752 0.057 1
Al4 Al 0.168 0.796 0.724 1
Al5 Al 0.182 0.749 0.390 1
Br1 Br 0.016 0.482 0.602 1
Br2 Br 0.035 0.428 0.198 1
Br3 Br 0.040 0.817 0.114 1
Br4 Br 0.064 0.132 0.864 1
Br5 Br 0.072 0.913 0.686 1
Br6 Br 0.098 0.236 0.469 1
Br7 Br 0.100 0.133 0.269 1
Br8 Br 0.110 0.868 0.461 1
Br9 Br 0.114 0.672 0.291 1
Br10 Br 0.116 0.182 0.064 1
Br11 Br 0.141 0.550 0.019 1
Br12 Br 0.144 0.628 0.794 1
Br13 Br 0.146 0.891 0.957 1
Br14 Br 0.204 0.550 0.447 1
Br15 Br 0.212 0.334 0.648 1
Br16 Br 0.240 0.733 0.624 1
Br17 Br 0.244 0.430 0.220 1
Br18 Br 0.247 0.799 0.128 1

# meta-GGA r2SCAN BaUTe4, relaxed
# Crystal system: monoclinic
# Energy relative to the elements, kJ per mole of atoms: -120
# Total magnetic moment, μB/cell: 10.511
data_BaUTe4
_chemical_formula_sum 'Ba4 U4 Te16'
_symmetry_space_group_name_H-M 'C 1 2/m 1'
_symmetry_Int_Tables_number 12
_cell_length_a 16.537
_cell_length_b 6.284
_cell_length_c 10.657
_cell_angle_alpha 90.00
_cell_angle_beta 129.47
_cell_angle_gamma 90.00
loop_
_symmetry_equiv_pos_as_xyz
'x,y,z'
'-x,-y,-z'
'-x,y,-z'
'x,-y,z'
'x+1/2,y+1/2,z'
'-x+1/2,-y+1/2,-z'
'-x+1/2,y+1/2,-z'
'x+1/2,-y+1/2,z'
loop_
_atom_site_label
_atom_site_type_symbol
_atom_site_fract_x
_atom_site_fract_y
_atom_site_fract_z
_atom_site_occupancy
Ba1 Ba 0.101 0.000 0.306 1
U1 U 0.136 0.500 0.772 1
Te1 Te 0.097 0.000 0.655 1
Te2 Te 0.113 0.500 0.452 1
Te3 Te 0.143 0.248 0.043 1

# meta-GGA r2SCAN Mg2TiO4, relaxed
# Crystal system: tetragonal
# Energy relative to the elements, kJ per mole of atoms: -306
# Total magnetic moment, μB/cell: 0.000
data_Mg2TiO4
_chemical_formula_sum 'Mg8 Ti4 O16'
_symmetry_space_group_name_H-M 'P 41 2 2'
_symmetry_Int_Tables_number 91
_cell_length_a 5.980
_cell_length_b 5.980
_cell_length_c 8.398
_cell_angle_alpha 90.00
_cell_angle_beta 90.00
_cell_angle_gamma 90.00
loop_
_symmetry_equiv_pos_as_xyz
'x,y,z'
'-y,x,z+1/4'
'-x,-y,z+1/2'
'y,-x,z+3/4'
'x,-y,-z+1/2'
'-y,-x,-z+1/4'
'-x,y,-z'
'y,x,-z+3/4'
loop_
_atom_site_label
_atom_site_type_symbol
_atom_site_fract_x
_atom_site_fract_y
_atom_site_fract_z
_atom_site_occupancy
Mg1 Mg 0.000 0.248 0.000 1
Mg2 Mg 0.252 0.252 0.375 1
Ti1 Ti 0.237 0.500 0.750 1
O1 O 0.026 0.262 0.752 1
O2 O 0.260 0.483 0.984 1

# meta-GGA r2SCAN CeGe4Rh6, relaxed
# Crystal system: hexagonal
# Energy relative to the elements, kJ per mole of atoms: -75
# Total magnetic moment, μB/cell: 0.049
data_CeGe4Rh6
_chemical_formula_sum 'Ce1 Ge4 Rh6'
_symmetry_space_group_name_H-M 'P -6 m 2'
_symmetry_Int_Tables_number 187
_symmetry_space_group_name_Hall 'P -6 2'
_cell_length_a 7.1685
_cell_length_b 7.1685
_cell_length_c 3.8384
_cell_angle_alpha 90.00
_cell_angle_beta 90.00
_cell_angle_gamma 120.00
loop_
_atom_site_label
_atom_site_type_symbol
_atom_site_fract_x
_atom_site_fract_y
_atom_site_fract_z
_atom_site_occupancy
Ce1 Ce 0.0000 0.0000 0.0000 1
Ge1 Ge 0.1984 0.3967 0.5000 1
Ge2 Ge 0.6667 0.3333 0.0000 1
Rh1 Rh 0.0661 0.5331 0.0000 1
Rh2 Rh 0.3978 0.1989 0.5000 1

# meta-GGA r2SCAN Nd3Eu, relaxed
# Crystal system: cubic
# Energy relative to the elements, kJ per mole of atoms: 8
# Total magnetic moment, μB/cell: 7.016
data_Nd3Eu
_chemical_formula_sum 'Nd3 Eu1'
_symmetry_space_group_name_H-M 'P m -3 m'
_symmetry_Int_Tables_number 221
_symmetry_space_group_name_Hall '-P 4 2 3'
_cell_length_a 5.267
_cell_length_b 5.267
_cell_length_c 5.267
_cell_angle_alpha 90.00
_cell_angle_beta 90.00
_cell_angle_gamma 90.00
loop_
_atom_site_label
_atom_site_type_symbol
_atom_site_fract_x
_atom_site_fract_y
_atom_site_fract_z
_atom_site_occupancy
Nd1 Nd 0.000 0.000 0.500 1
Eu1 Eu 0.500 0.500 0.500 1

# meta-GGA r2SCAN Ho2ZnAu, relaxed
# Crystal system: cubic
# Energy relative to the elements, kJ per mole of atoms: -65
# Total magnetic moment, μB/cell: 0.000
data_Ho2ZnAu
_chemical_formula_sum 'Ho8 Zn4 Au4'
_symmetry_space_group_name_H-M 'F m -3 m'
_symmetry_Int_Tables_number 225
_symmetry_space_group_name_Hall '-F 4 2 3'
_cell_length_a 7.085
_cell_length_b 7.085
_cell_length_c 7.085
_cell_angle_alpha 90.00
_cell_angle_beta 90.00
_cell_angle_gamma 90.00
loop_
_atom_site_label
_atom_site_type_symbol
_atom_site_fract_x
_atom_site_fract_y
_atom_site_fract_z
_atom_site_occupancy
Ho1 Ho 0.250 0.250 0.250 1
Zn1 Zn 0.000 0.000 0.000 1
Au1 Au 0.000 0.000 0.500 1